[1]
Na4ZrSi3SnO12: relaxed, PBE.

abc: 9.2138 9.2138 22.8836
angles: 90.00 90.00 120.00
Fractional positions:
Na1 0.0000 0.0000 0.0832
Na2 0.0000 0.0000 0.5824
Na3 0.9996 0.3665 0.3323
Na4 0.9999 0.6340 0.8328
Na5 0.0328 0.3330 0.6660
Na6 0.0336 0.7003 0.1662
Na7 0.2997 0.3333 0.1662
Na8 0.3002 0.9672 0.6660
Na9 0.3334 0.0332 0.0000
Na10 0.3334 0.3005 0.4994
Na11 0.3333 0.6667 0.2490
Na12 0.3333 0.6667 0.7495
Na13 0.3660 0.3660 0.8328
Na14 0.3669 0.0004 0.3323
Na15 0.6335 0.6331 0.3323
Na16 0.6340 0.0001 0.8328
Na17 0.6667 0.3333 0.4160
Na18 0.6667 0.3333 0.9165
Na19 0.6670 0.6998 0.6660
Na20 0.6667 0.9664 0.1662
Na21 0.6995 0.0329 0.4994
Na22 0.6998 0.6666 0.0000
Na23 0.9668 0.3002 0.0000
Na24 0.9671 0.6666 0.4994
Zr1 0.0000 0.0000 0.7310
Zr2 0.0000 0.0000 0.9348
Zr3 0.3333 0.6667 0.3979
Zr4 0.3333 0.6667 0.6001
Zr5 0.3333 0.6667 0.8990
Zr6 0.6667 0.3333 0.7674
Si1 0.0000 0.2947 0.8329
Si2 0.0360 0.3693 0.4993
Si3 0.0386 0.6640 0.0013
Si4 0.2920 0.2898 0.3318
Si5 0.2947 0.0000 0.8329
Si6 0.3332 0.9640 0.4993
Si7 0.3360 0.3745 0.0013
Si8 0.3742 0.0409 0.1662
Si9 0.3747 0.3338 0.6652
Si10 0.6255 0.9614 0.0013
Si11 0.6307 0.6668 0.4993
Si12 0.6662 0.0409 0.6652
Si13 0.6667 0.6258 0.1662
Si14 0.7053 0.7053 0.8329
Si15 0.7102 0.0021 0.3318
Si16 0.9591 0.3333 0.1662
Si17 0.9591 0.6253 0.6652
Si18 0.9979 0.7080 0.3318
Sn1 0.0000 0.0000 0.2309
Sn2 0.0000 0.0000 0.4335
Sn3 0.3333 0.6667 0.1013
Sn4 0.6667 0.3333 0.0654
Sn5 0.6667 0.3333 0.2673
Sn6 0.6667 0.3333 0.5647
O1 0.0218 0.1847 0.4935
O2 0.0217 0.8320 0.9948
O3 0.0345 0.2087 0.7754
O4 0.0383 0.8282 0.2742
O5 0.1228 0.4917 0.4424
O6 0.1225 0.6296 0.9433
O7 0.1446 0.6430 0.6603
O8 0.1457 0.5027 0.1606
O9 0.1576 0.4550 0.5564
O10 0.1608 0.7045 0.0585
O11 0.1628 0.9782 0.4935
O12 0.1654 0.6896 0.3381
O13 0.1680 0.1897 0.9948
O14 0.1683 0.4790 0.8382
O15 0.1718 0.2101 0.2742
O16 0.1742 0.9655 0.7754
O17 0.1876 0.0236 0.1717
O18 0.1893 0.1659 0.6708
O19 0.2082 0.0341 0.8901
O20 0.2123 0.1719 0.3905
O21 0.2955 0.4563 0.0585
O22 0.2974 0.8424 0.5564
O23 0.3104 0.4758 0.3381
O24 0.3106 0.8317 0.8382
O25 0.3570 0.5015 0.6603
O26 0.3569 0.8543 0.1606
O27 0.3688 0.8772 0.4424
O28 0.3704 0.4929 0.9433
O29 0.4544 0.1606 0.1082
O30 0.4560 0.2949 0.6074
O31 0.4784 0.1676 0.8277
O32 0.4793 0.3080 0.3268
O33 0.4929 0.3684 0.7228
O34 0.4942 0.1214 0.2242
O35 0.4973 0.6431 0.1606
O36 0.4985 0.8554 0.6603
O37 0.5034 0.1484 0.5050
O38 0.5055 0.3581 0.0058
O39 0.5071 0.8775 0.9433
O40 0.5083 0.6312 0.4424
O41 0.5210 0.6894 0.8382
O42 0.5242 0.8346 0.3381
O43 0.5437 0.8392 0.0585
O44 0.5450 0.7026 0.5564
O45 0.6272 0.5058 0.2242
O46 0.6316 0.1246 0.7228
O47 0.6419 0.1474 0.0058
O48 0.6450 0.4966 0.5050
O49 0.6892 0.5216 0.8277
O50 0.6920 0.1713 0.3268
O51 0.7051 0.1611 0.6074
O52 0.7062 0.5456 0.1082
O53 0.7899 0.9617 0.2742
O54 0.7913 0.8258 0.7754
O55 0.8103 0.9783 0.9948
O56 0.8153 0.8372 0.4935
O57 0.8259 0.7918 0.8901
O58 0.8281 0.0404 0.3905
O59 0.8287 0.5207 0.3268
O60 0.8324 0.3108 0.8277
O61 0.8341 0.0234 0.6708
O62 0.8360 0.8124 0.1717
O63 0.8394 0.2938 0.1082
O64 0.8389 0.5440 0.6074
O65 0.8516 0.3550 0.5050
O66 0.8526 0.4945 0.0058
O67 0.8754 0.5071 0.7228
O68 0.8786 0.3728 0.2242
O69 0.9596 0.7877 0.3905
O70 0.9659 0.1741 0.8901
O71 0.9764 0.1640 0.1717
O72 0.9766 0.8107 0.6708

Computed properties:
total DFT energy (no corrections): -0.5087 Ry/atom
energy relative to the elements: -2861.4 meV per atom
crystal system: trigonal



[2]
Ce2Mn3Cu9As7: relaxed, PBE.

abc: 9.8321 9.8321 4.0018
angles: 90.00 90.00 120.00
Fractional positions:
Ce1 0.0000 0.0000 0.0000
Ce2 0.3333 0.6667 0.5000
Mn1 0.4487 0.2096 0.0000
Mn2 0.7608 0.5513 0.0000
Mn3 0.7904 0.2392 0.0000
Cu1 0.0401 0.2856 0.5000
Cu2 0.0882 0.7111 0.0000
Cu3 0.2455 0.9599 0.5000
Cu4 0.2889 0.3772 0.0000
Cu5 0.5054 0.4537 0.5000
Cu6 0.5463 0.0517 0.5000
Cu7 0.6228 0.9118 0.0000
Cu8 0.7144 0.7545 0.5000
Cu9 0.9483 0.4946 0.5000
As1 0.0830 0.4533 0.0000
As2 0.2488 0.2105 0.5000
As3 0.3703 0.9170 0.0000
As4 0.5467 0.6297 0.0000
As5 0.6667 0.3333 0.5000
As6 0.7895 0.0383 0.5000
As7 0.9617 0.7512 0.5000

Computed properties:
total DFT energy (no corrections): -0.4035 Ry/atom
energy relative to the elements: -305.6 meV per atom
crystal system: hexagonal



[3]
Cu9S16: relaxed, PBE.

abc: 46.4275 46.4275 46.4275
angles: 4.47 4.47 4.47
Fractional positions:
Cu1 0.0000 0.0000 0.0000
Cu2 0.0307 0.0307 0.0307
Cu3 0.0937 0.0937 0.0937
Cu4 0.1565 0.1565 0.1565
Cu5 0.4062 0.4062 0.4062
Cu6 0.4687 0.4687 0.4687
Cu7 0.7187 0.7187 0.7187
Cu8 0.7812 0.7812 0.7812
Cu9 0.8593 0.8593 0.8593
S1 0.0153 0.0153 0.0153
S2 0.0779 0.0779 0.0779
S3 0.1405 0.1405 0.1405
S4 0.2013 0.2013 0.2013
S5 0.2654 0.2654 0.2654
S6 0.3277 0.3277 0.3277
S7 0.3903 0.3903 0.3903
S8 0.4529 0.4529 0.4529
S9 0.5173 0.5173 0.5173
S10 0.5780 0.5780 0.5780
S11 0.6399 0.6399 0.6399
S12 0.7027 0.7027 0.7027
S13 0.7654 0.7654 0.7654
S14 0.8282 0.8282 0.8282
S15 0.8909 0.8909 0.8909
S16 0.9531 0.9531 0.9531

Computed properties:
total DFT energy (no corrections): -0.2694 Ry/atom
energy relative to the elements: 136.1 meV per atom
crystal system: trigonal



[4]
FeH12C2N2Cl4: relaxed, PBE.

abc: 7.3030 7.3030 19.4931
angles: 90.00 90.00 90.00
Fractional positions:
Fe1 0.0000 0.0000 0.0000
Fe2 0.0000 0.5000 0.5000
Fe3 0.5000 0.0000 0.5000
Fe4 0.5000 0.5000 0.0000
H1 0.0084 0.6667 0.1979
H2 0.0084 0.8333 0.6979
H3 0.0132 0.6481 0.8994
H4 0.0132 0.8519 0.3994
H5 0.0656 0.0656 0.7180
H6 0.0656 0.4344 0.2180
H7 0.0700 0.0700 0.4182
H8 0.0700 0.4300 0.9182
H9 0.1481 0.5132 0.1006
H10 0.1481 0.9868 0.6006
H11 0.1667 0.5084 0.8021
H12 0.1667 0.9916 0.3021
H13 0.3333 0.5084 0.3021
H14 0.3333 0.9916 0.8021
H15 0.3519 0.5132 0.6006
H16 0.3519 0.9868 0.1006
H17 0.4300 0.0700 0.9182
H18 0.4300 0.4300 0.4182
H19 0.4344 0.0656 0.2180
H20 0.4344 0.4344 0.7180
H21 0.4868 0.6481 0.3994
H22 0.4868 0.8519 0.8994
H23 0.4916 0.6667 0.6979
H24 0.4916 0.8333 0.1979
H25 0.5084 0.1667 0.8021
H26 0.5084 0.3333 0.3021
H27 0.5132 0.1481 0.1006
H28 0.5132 0.3519 0.6006
H29 0.5656 0.5656 0.2820
H30 0.5656 0.9344 0.7820
H31 0.5700 0.5700 0.5818
H32 0.5700 0.9300 0.0818
H33 0.6481 0.0132 0.8994
H34 0.6481 0.4868 0.3994
H35 0.6667 0.0084 0.1979
H36 0.6667 0.4916 0.6979
H37 0.8333 0.0084 0.6979
H38 0.8333 0.4916 0.1979
H39 0.8519 0.0132 0.3994
H40 0.8519 0.4868 0.8994
H41 0.9300 0.5700 0.0818
H42 0.9300 0.9300 0.5818
H43 0.9344 0.5656 0.7820
H44 0.9344 0.9344 0.2820
H45 0.9868 0.1481 0.6006
H46 0.9868 0.3519 0.1006
H47 0.9916 0.1667 0.3021
H48 0.9916 0.3333 0.8021
C1 0.0228 0.0228 0.3132
C2 0.0228 0.4772 0.8132
C3 0.4772 0.0228 0.8132
C4 0.4772 0.4772 0.3132
C5 0.5228 0.5228 0.6868
C6 0.5228 0.9772 0.1868
C7 0.9772 0.5228 0.1868
C8 0.9772 0.9772 0.6868
N1 0.0122 0.0122 0.6130
N2 0.0122 0.4878 0.1130
N3 0.4878 0.0122 0.1130
N4 0.4878 0.4878 0.6130
N5 0.5122 0.5122 0.3870
N6 0.5122 0.9878 0.8870
N7 0.9878 0.5122 0.8870
N8 0.9878 0.9878 0.3870
Cl1 0.0323 0.0323 0.1214
Cl2 0.0323 0.4677 0.6214
Cl3 0.2500 0.2500 0.4788
Cl4 0.2500 0.2500 0.9788
Cl5 0.2500 0.7500 0.0000
Cl6 0.2500 0.7500 0.5000
Cl7 0.4677 0.0323 0.6214
Cl8 0.4677 0.4677 0.1214
Cl9 0.5323 0.5323 0.8786
Cl10 0.5323 0.9677 0.3786
Cl11 0.7500 0.2500 0.0000
Cl12 0.7500 0.2500 0.5000
Cl13 0.7500 0.7500 0.0212
Cl14 0.7500 0.7500 0.5212
Cl15 0.9677 0.5323 0.3786
Cl16 0.9677 0.9677 0.8786

Computed properties:
total DFT energy (no corrections): -0.3547 Ry/atom
energy relative to the elements: -575.8 meV per atom
distance to the lowest polymorph of the same formula: 0.000 eV per atom
crystal system: tetragonal